1) A relaxed RbMg14Co crystal. Source: the Materials Project, functional PBE.

Values from the calculation:
Calculated density   2.12 g/cm3
Crystal system   orthorhombic

Cell: 10.3961 6.5444 6.5444 Å, 58.70 90.00 90.00°
Atoms (fractional coordinates):
Rb1 0.0000 0.0000 0.0000
Mg1 0.0000 0.0088 0.4919
Mg2 0.0000 0.4919 0.0088
Mg3 0.2208 0.6287 0.6287
Mg4 0.2546 0.1489 0.6264
Mg5 0.2546 0.6264 0.1489
Mg6 0.2727 0.1453 0.1453
Mg7 0.5000 0.4761 0.4761
Mg8 0.5000 0.4815 0.9701
Mg9 0.5000 0.9701 0.4815
Mg10 0.5000 0.9713 0.9713
Mg11 0.7273 0.1453 0.1453
Mg12 0.7454 0.1489 0.6264
Mg13 0.7454 0.6264 0.1489
Mg14 0.7792 0.6287 0.6287
Co1 0.0000 0.4408 0.4408

=====

2) A relaxed RbMg14Co crystal. Source: the Materials Project, functional PBE.

Values from the calculation:
Calculated density   2.13 g/cm3
Crystal system   hexagonal

Cell: 6.3921 6.3921 10.6848 Å, 90.00 90.00 120.00°
Atoms (fractional coordinates):
Rb1 0.0000 0.0000 0.0000
Mg1 0.0065 0.5033 0.0000
Mg2 0.1627 0.3254 0.2839
Mg3 0.1627 0.3254 0.7161
Mg4 0.1627 0.8373 0.2839
Mg5 0.1627 0.8373 0.7161
Mg6 0.4967 0.5033 0.0000
Mg7 0.4967 0.9935 0.0000
Mg8 0.5056 0.0112 0.5000
Mg9 0.5056 0.4944 0.5000
Mg10 0.6667 0.3333 0.2397
Mg11 0.6667 0.3333 0.7603
Mg12 0.6746 0.8373 0.2839
Mg13 0.6746 0.8373 0.7161
Mg14 0.9888 0.4944 0.5000
Co1 0.0000 0.0000 0.5000

=====

1) comes first in stability; the runner-up is 14 meV/atom higher.

=====

1) A relaxed MgCo2S4 crystal. Source: the Materials Project, functional PBE.

Values from the calculation:
Calculated density   3.89 g/cm3
Crystal system   orthorhombic

Cell: 6.8802 6.8802 6.8802 Å, 120.19 119.50 90.26°
Atoms (fractional coordinates):
Mg1 0.5000 0.0000 0.0000
Mg2 0.5000 0.5000 0.5000
Co1 0.0000 0.0000 0.0000
Co2 0.1269 0.3769 0.7500
Co3 0.5000 0.0000 0.5000
Co4 0.8731 0.6231 0.2500
S1 0.2265 0.2356 0.9909
S2 0.2416 0.2165 0.4749
S3 0.2416 0.7667 0.0251
S4 0.2553 0.7644 0.4909
S5 0.7447 0.2356 0.5091
S6 0.7584 0.2333 0.9749
S7 0.7584 0.7835 0.5251
S8 0.7735 0.7644 0.0091

=====

2) A relaxed MgCo2S4 crystal. Source: the Materials Project, functional PBE.

Values from the calculation:
Calculated density   3.81 g/cm3
Crystal system   cubic

Cell: 6.9330 6.9330 6.9330 Å, 60.00 60.00 60.00°
Atoms (fractional coordinates):
Mg1 0.1250 0.1250 0.1250
Mg2 0.8750 0.8750 0.8750
Co1 0.0000 0.5000 0.5000
Co2 0.5000 0.0000 0.5000
Co3 0.5000 0.5000 0.0000
Co4 0.5000 0.5000 0.5000
S1 0.2684 0.2684 0.2684
S2 0.2684 0.2684 0.6947
S3 0.2684 0.6947 0.2684
S4 0.3053 0.7316 0.7316
S5 0.6947 0.2684 0.2684
S6 0.7316 0.3053 0.7316
S7 0.7316 0.7316 0.3053
S8 0.7316 0.7316 0.7316

=====

2) comes first in stability; the runner-up is 143 meV/atom higher.

=====

1) A relaxed MgCo4Sb4S4 crystal. Source: the Materials Project, functional PBE.

Values from the calculation:
Calculated density   6.30 g/cm3
Crystal system   trigonal

Cell: 6.1568 6.1568 6.1568 Å, 84.70 84.70 84.70°
Atoms (fractional coordinates):
Mg1 0.0000 0.0000 0.0000
Co1 0.3070 0.8014 0.3228
Co2 0.3228 0.3070 0.8014
Co3 0.7837 0.7837 0.7837
Co4 0.8014 0.3228 0.3070
Sb1 0.2219 0.2219 0.2219
Sb2 0.4119 0.6683 0.9287
Sb3 0.6683 0.9287 0.4119
Sb4 0.9287 0.4119 0.6683
S1 0.1441 0.8720 0.6504
S2 0.4417 0.4417 0.4417
S3 0.6504 0.1441 0.8720
S4 0.8720 0.6504 0.1441

=====

2) A relaxed MgCo4Sb4S4 crystal. Source: the Materials Project, functional PBE.

Values from the calculation:
Calculated density   6.43 g/cm3
Crystal system   trigonal

Cell: 6.0916 6.0916 6.0916 Å, 89.65 89.65 89.65°
Atoms (fractional coordinates):
Mg1 0.0000 0.0000 0.0000
Co1 0.1925 0.7383 0.6744
Co2 0.2343 0.2343 0.2343
Co3 0.6744 0.1925 0.7383
Co4 0.7383 0.6744 0.1925
Sb1 0.0844 0.3822 0.8255
Sb2 0.3822 0.8255 0.0844
Sb3 0.5538 0.5538 0.5538
Sb4 0.8255 0.0844 0.3822
S1 0.0933 0.5905 0.3164
S2 0.3164 0.0933 0.5905
S3 0.5905 0.3163 0.0933
S4 0.7918 0.7918 0.7918

=====

1) comes first in stability; the runner-up is 29 meV/atom higher.

=====

1) A relaxed MgZnCo4S8 crystal. Source: the Materials Project, functional PBE.

Values from the calculation:
Calculated density   4.27 g/cm3
Crystal system   monoclinic

Cell: 6.8034 6.8034 6.9560 Å, 120.47 120.47 60.30°
Atoms (fractional coordinates):
Mg1 0.0000 0.0000 0.0000
Zn1 0.0000 0.0000 0.5000
Co1 0.0000 0.5000 0.0000
Co2 0.5000 0.0000 0.0000
Co3 0.5000 0.5000 0.0000
Co4 0.5000 0.5000 0.5000
S1 0.2559 0.2559 0.7939
S2 0.2613 0.2613 0.2283
S3 0.2642 0.7045 0.2356
S4 0.2955 0.7358 0.7644
S5 0.7045 0.2642 0.2356
S6 0.7358 0.2955 0.7644
S7 0.7387 0.7387 0.7717
S8 0.7441 0.7441 0.2061

=====

2) A relaxed MgZnCo4S8 crystal. Source: the Materials Project, functional PBE.

Values from the calculation:
Calculated density   4.00 g/cm3
Crystal system   monoclinic

Cell: 6.7630 6.7630 7.2326 Å, 117.75 117.75 60.00°
Atoms (fractional coordinates):
Mg1 0.0000 0.0000 0.0000
Zn1 0.6412 0.6412 0.9269
Co1 0.1492 0.6370 0.4268
Co2 0.1508 0.1508 0.4561
Co3 0.6370 0.1492 0.4268
Co4 0.6369 0.6369 0.4272
S1 0.3795 0.8571 0.6209
S2 0.3796 0.3796 0.6208
S3 0.4116 0.4116 0.2381
S4 0.4198 0.9033 0.2295
S5 0.8571 0.3795 0.6209
S6 0.8695 0.8695 0.6126
S7 0.9033 0.4198 0.2295
S8 0.9034 0.9034 0.2287

=====

3) A relaxed MgZnCo4S8 crystal. Source: the Materials Project, functional PBE.

Values from the calculation:
Calculated density   4.21 g/cm3
Crystal system   trigonal

Cell: 6.8727 6.8727 6.8727 Å, 60.05 60.05 60.05°
Atoms (fractional coordinates):
Mg1 0.0000 0.0000 0.0000
Zn1 0.7508 0.7508 0.7508
Co1 0.3750 0.3750 0.3750
Co2 0.3749 0.3749 0.8767
Co3 0.3749 0.8767 0.3749
Co4 0.8767 0.3749 0.3749
S1 0.1437 0.1437 0.1437
S2 0.1439 0.1439 0.5700
S3 0.1439 0.5700 0.1439
S4 0.1740 0.6091 0.6091
S5 0.5700 0.1439 0.1439
S6 0.6091 0.1740 0.6091
S7 0.6091 0.6091 0.1740
S8 0.6092 0.6092 0.6092

=====

3) comes first in stability; the runner-up is 101 meV/atom higher.

=====

1) A relaxed Mg6ZrCo crystal. Source: the Materials Project, functional PBE.

Values from the calculation:
Calculated density   3.01 g/cm3

Cell: 4.8165 6.1229 11.0921 Å, 90.00 90.00 90.00°
Atoms (fractional coordinates):
Mg1 0.0000 0.2587 0.0750
Mg2 0.0000 0.7413 0.0750
Mg3 0.0000 0.0000 0.3335
Mg4 0.5000 0.7444 0.4201
Mg5 0.5000 0.2556 0.4201
Mg6 0.5000 0.0000 0.1723
Mg7 0.0000 0.7587 0.5750
Mg8 0.0000 0.2413 0.5750
Mg9 0.0000 0.5000 0.8335
Mg10 0.5000 0.2444 0.9201
Mg11 0.5000 0.7556 0.9201
Mg12 0.5000 0.5000 0.6723
Zr1 0.0000 0.5000 0.3088
Zr2 0.0000 0.0000 0.8088
Co1 0.5000 0.5000 0.1953
Co2 0.5000 0.0000 0.6953

=====

2) A relaxed Mg6ZrCo crystal. Source: the Materials Project, functional PBE.

Values from the calculation:
Calculated density   3.06 g/cm3

Cell: 4.8953 5.7794 11.3676 Å, 90.00 90.00 90.00°
Atoms (fractional coordinates):
Mg1 0.5000 0.7481 0.9296
Mg2 0.5000 0.2519 0.9296
Mg3 0.0000 0.2465 0.5812
Mg4 0.0000 0.7535 0.5812
Mg5 0.0000 0.5000 0.8319
Mg6 0.0000 0.0000 0.8024
Mg7 0.5000 0.2481 0.4296
Mg8 0.5000 0.7519 0.4296
Mg9 0.0000 0.7465 0.0812
Mg10 0.0000 0.2535 0.0812
Mg11 0.0000 0.0000 0.3319
Mg12 0.0000 0.5000 0.3024
Zr1 0.5000 0.5000 0.6818
Zr2 0.5000 0.0000 0.1818
Co1 0.5000 0.0000 0.6621
Co2 0.5000 0.5000 0.1621

=====

1) comes first in stability; the runner-up is 40 meV/atom higher.

=====

1) A relaxed Mg14ZrCo crystal. Source: the Materials Project, functional PBE.

Values from the calculation:
Calculated density   2.36 g/cm3
Crystal system   hexagonal

Cell: 6.3027 6.3027 10.0279 Å, 90.00 90.00 120.00°
Atoms (fractional coordinates):
Mg1 0.0000 0.0000 0.2406
Mg2 0.0000 0.0000 0.7594
Mg3 0.0175 0.5087 0.2635
Mg4 0.0175 0.5087 0.7365
Mg5 0.3286 0.1643 0.5000
Mg6 0.3438 0.1719 0.0000
Mg7 0.4913 0.5087 0.2635
Mg8 0.4913 0.5087 0.7365
Mg9 0.4913 0.9825 0.2635
Mg10 0.4913 0.9825 0.7365
Mg11 0.8281 0.1719 0.0000
Mg12 0.8281 0.6562 0.0000
Mg13 0.8357 0.1643 0.5000
Mg14 0.8357 0.6714 0.5000
Zr1 0.3333 0.6667 0.0000
Co1 0.3333 0.6667 0.5000

=====

2) A relaxed Mg14ZrCo crystal. Source: the Materials Project, functional PBE.

Values from the calculation:
Calculated density   2.38 g/cm3
Crystal system   orthorhombic

Cell: 10.0248 6.3914 6.3914 Å, 56.71 90.00 90.00°
Atoms (fractional coordinates):
Mg1 0.0000 0.0000 0.0000
Mg2 0.0000 0.0029 0.4955
Mg3 0.0000 0.4955 0.0029
Mg4 0.0000 0.4958 0.4958
Mg5 0.2435 0.6596 0.6596
Mg6 0.2593 0.1600 0.6644
Mg7 0.2593 0.6644 0.1600
Mg8 0.2834 0.1432 0.1432
Mg9 0.5000 0.0036 0.5277
Mg10 0.5000 0.5277 0.0036
Mg11 0.7166 0.1432 0.1432
Mg12 0.7407 0.1600 0.6644
Mg13 0.7407 0.6644 0.1600
Mg14 0.7565 0.6596 0.6596
Zr1 0.5000 0.5138 0.5138
Co1 0.5000 0.9891 0.9891

=====

2) comes first in stability; the runner-up is 31 meV/atom higher.

=====

1) A relaxed MnCo2N2 crystal. Source: the Materials Project, functional PBE.

Values from the calculation:
Calculated density   7.24 g/cm3
Crystal system   orthorhombic

Cell: 2.8117 11.5248 2.8422 Å, 90.00 90.00 90.00°
Atoms (fractional coordinates):
Mn1 0.2500 0.2500 0.1672
Mn2 0.7500 0.7500 0.8328
Co1 0.2500 0.5884 0.2878
Co2 0.2500 0.9116 0.2878
Co3 0.7500 0.0884 0.7122
Co4 0.7500 0.4116 0.7122
N1 0.2500 0.0899 0.2462
N2 0.2500 0.4101 0.2462
N3 0.7500 0.5899 0.7538
N4 0.7500 0.9101 0.7538

=====

2) A relaxed MnCo2N2 crystal. Source: the Materials Project, functional PBE.

Values from the calculation:
Calculated density   7.20 g/cm3
Crystal system   trigonal

Cell: 2.8779 2.8779 6.4526 Å, 90.00 90.00 120.00°
Atoms (fractional coordinates):
Mn1 0.0000 0.0000 0.0000
Co1 0.3333 0.6667 0.3356
Co2 0.6667 0.3333 0.6644
N1 0.3333 0.6667 0.8046
N2 0.6667 0.3333 0.1954

=====

2) comes first in stability; the runner-up is 98 meV/atom higher.

=====

1) A relaxed Mn2CoN2 crystal. Source: the Materials Project, functional PBE.

Values from the calculation:
Calculated density   6.73 g/cm3
Crystal system   monoclinic

Cell: 3.0380 3.0380 5.7299 Å, 102.28 102.28 72.02°
Atoms (fractional coordinates):
Mn1 0.1303 0.1303 0.3428
Mn2 0.8697 0.8697 0.6572
Co1 0.5000 0.5000 0.0000
N1 0.2544 0.2544 0.6973
N2 0.7456 0.7456 0.3027

=====

2) A relaxed Mn2CoN2 crystal. Source: the Materials Project, functional PBE.

Values from the calculation:
Calculated density   5.95 g/cm3
Crystal system   orthorhombic

Cell: 4.7180 4.7180 5.0360 Å, 90.00 90.00 78.39°
Atoms (fractional coordinates):
Mn1 0.0957 0.2476 0.0000
Mn2 0.2476 0.0957 0.5000
Mn3 0.7524 0.9043 0.0000
Mn4 0.9043 0.7524 0.5000
Co1 0.3184 0.6816 0.7958
Co2 0.6816 0.3184 0.2958
N1 0.1128 0.4263 0.6697
N2 0.4263 0.1128 0.1697
N3 0.5737 0.8872 0.6697
N4 0.8872 0.5737 0.1697

=====

1) comes first in stability; the runner-up is 113 meV/atom higher.

=====

1) A relaxed CoTeMo crystal. Source: the Materials Project, functional PBE.

Values from the calculation:
Calculated density   8.70 g/cm3
Crystal system   orthorhombic

Cell: 3.7923 4.8309 5.8840 Å, 90.00 90.00 90.00°
Atoms (fractional coordinates):
Co1 0.2500 0.2500 0.2489
Co2 0.7500 0.7500 0.7511
Te1 0.2500 0.7500 0.4516
Te2 0.7500 0.2500 0.5484
Mo1 0.2500 0.7500 0.0002
Mo2 0.7500 0.2500 0.9998

=====

2) A relaxed CoTeMo crystal. Source: the Materials Project, functional PBE.

Values from the calculation:
Calculated density   8.50 g/cm3
Crystal system   tetragonal

Cell: 4.4591 4.4591 5.5501 Å, 90.00 90.00 90.00°
Atoms (fractional coordinates):
Co1 0.2500 0.2500 0.2258
Co2 0.7500 0.7500 0.7742
Te1 0.2500 0.7500 0.5000
Te2 0.7500 0.2500 0.5000
Mo1 0.2500 0.7500 0.0000
Mo2 0.7500 0.2500 0.0000

=====

1) comes first in stability; the runner-up is 41 meV/atom higher.